Entry 1:
Entry from Materials Project: crystalline Ti3CuS6 at its relaxed geometry (PBE).

The structure in CIF format:
```
data_Ti3CuS6
_chemical_formula_sum 'Ti36 Cu12 S72'
_cell_length_a 7.060
_cell_length_b 7.060
_cell_length_c 63.486
_cell_angle_alpha 59.96
_cell_angle_beta 59.96
_cell_angle_gamma 60.00
_symmetry_space_group_name_H-M 'P 1'
_symmetry_Int_Tables_number 1
_symmetry_space_group_name_Hall 'P 1'
loop_
_atom_site_label
_atom_site_fract_x
_atom_site_fract_y
_atom_site_fract_z
S1 0.255 0.736 0.695
S2 0.255 0.255 0.637
S3 0.265 0.745 0.194
S4 0.255 0.255 0.806
S5 0.255 0.736 0.473
S6 0.745 0.745 0.141
S7 0.264 0.745 0.638
S8 0.254 0.736 0.140
S9 0.745 0.745 0.252
S10 0.736 0.255 0.473
S11 0.255 0.255 0.193
S12 0.745 0.745 0.860
S13 0.737 0.254 0.251
S14 0.745 0.265 0.860
S15 0.254 0.254 0.304
S16 0.737 0.255 0.917
S17 0.254 0.254 0.251
S18 0.265 0.745 0.416
S19 0.255 0.255 0.526
S20 0.255 0.736 0.806
S21 0.746 0.265 0.083
S22 0.255 0.255 0.695
S23 0.745 0.745 0.305
S24 0.255 0.736 0.028
S25 0.745 0.266 0.972
S26 0.255 0.255 0.473
S27 0.736 0.255 0.695
S28 0.255 0.255 0.415
S29 0.265 0.745 0.305
S30 0.255 0.255 0.082
S31 0.745 0.745 0.749
S32 0.264 0.745 0.749
S33 0.254 0.254 0.140
S34 0.745 0.745 0.918
S35 0.736 0.255 0.028
S36 0.255 0.736 0.584
S37 0.265 0.745 0.860
S38 0.745 0.264 0.527
S39 0.745 0.265 0.194
S40 0.745 0.265 0.305
S41 0.736 0.254 0.140
S42 0.255 0.255 0.584
S43 0.255 0.255 0.860
S44 0.255 0.737 0.917
S45 0.745 0.745 0.194
S46 0.254 0.737 0.251
S47 0.745 0.745 0.083
S48 0.745 0.745 0.807
S49 0.745 0.745 0.585
S50 0.736 0.255 0.584
S51 0.745 0.745 0.638
S52 0.254 0.736 0.362
S53 0.736 0.255 0.806
S54 0.745 0.745 0.527
S55 0.745 0.745 0.474
S56 0.745 0.264 0.638
S57 0.254 0.254 0.362
S58 0.265 0.746 0.083
S59 0.745 0.745 0.972
S60 0.736 0.254 0.362
S61 0.745 0.745 0.416
S62 0.745 0.264 0.749
S63 0.745 0.745 0.363
S64 0.745 0.745 0.029
S65 0.745 0.265 0.416
S66 0.266 0.745 0.972
S67 0.255 0.255 0.028
S68 0.255 0.255 0.971
S69 0.745 0.745 0.696
S70 0.264 0.745 0.527
S71 0.255 0.255 0.748
S72 0.255 0.255 0.917
Cu1 0.875 0.875 0.764
Cu2 0.875 0.875 0.319
Cu3 0.875 0.875 0.653
Cu4 0.875 0.875 0.208
Cu5 0.125 0.125 0.681
Cu6 0.125 0.125 0.792
Cu7 0.125 0.125 0.458
Cu8 0.125 0.125 0.569
Cu9 0.875 0.875 0.986
Cu10 0.875 0.875 0.542
Cu11 0.875 0.875 0.430
Cu12 0.875 0.875 0.875
Ti1 0.497 0.497 0.223
Ti2 0.496 0.496 0.001
Ti3 0.500 0.500 0.500
Ti4 0.500 0.000 0.500
Ti5 0.500 0.500 0.778
Ti6 0.497 0.497 0.944
Ti7 0.500 0.500 0.611
Ti8 0.497 0.497 0.277
Ti9 0.000 0.500 0.500
Ti10 0.497 0.002 0.056
Ti11 0.497 0.497 0.890
Ti12 0.500 0.007 0.166
Ti13 0.500 0.000 0.611
Ti14 0.006 0.500 0.388
Ti15 0.497 0.497 0.834
Ti16 0.007 0.500 0.166
Ti17 0.000 0.500 0.722
Ti18 0.500 0.500 0.556
Ti19 0.003 0.497 0.834
Ti20 0.009 0.497 0.277
Ti21 0.497 0.010 0.944
Ti22 0.500 0.500 0.667
Ti23 0.497 0.009 0.277
Ti24 0.000 0.500 0.611
Ti25 0.002 0.497 0.056
Ti26 0.500 0.000 0.722
Ti27 0.500 0.500 0.722
Ti28 0.497 0.497 0.056
Ti29 0.010 0.497 0.944
Ti30 0.500 0.500 0.444
Ti31 0.500 0.006 0.388
Ti32 0.501 0.501 0.111
Ti33 0.497 0.003 0.834
Ti34 0.497 0.497 0.334
Ti35 0.500 0.500 0.166
Ti36 0.500 0.500 0.388
```

## Properties
As for the energy of formation from the pure elements: -1.487 eV per atom. Its total energy is -6.45 eV/atom.

---

Entry 2:
Entry from Materials Project: crystalline KBa2Bi2O9 at its relaxed geometry (PBE).

The structure in CIF format:
```
data_KBa2Bi2O9
_chemical_formula_sum 'K1 Ba2 Bi2 O9'
_cell_length_a 5.991
_cell_length_b 5.991
_cell_length_c 7.936
_cell_angle_alpha 90.00
_cell_angle_beta 90.00
_cell_angle_gamma 120.00
_symmetry_space_group_name_H-M 'P 1'
_symmetry_Int_Tables_number 1
_symmetry_space_group_name_Hall 'P 1'
loop_
_atom_site_label
_atom_site_fract_x
_atom_site_fract_y
_atom_site_fract_z
Ba1 0.333 0.667 0.643
Ba2 0.667 0.333 0.357
O1 0.359 0.179 0.670
O2 0.179 0.821 0.330
O3 0.500 0.000 0.000
O4 0.821 0.641 0.670
O5 0.179 0.359 0.330
O6 0.641 0.821 0.330
O7 0.500 0.500 0.000
O8 0.000 0.500 0.000
O9 0.821 0.179 0.670
K1 0.000 0.000 0.000
Bi1 0.333 0.667 0.155
Bi2 0.667 0.333 0.845
```

## Properties
As for the energy of formation from the pure elements: -1.625 eV per atom. Its total energy is -5.27 eV/atom.

---

Entry 3:
Entry from Materials Project: crystalline Cs2NaScCl6 at its relaxed geometry (PBE).

The structure in CIF format:
```
data_Cs2NaScCl6
_chemical_formula_sum 'Cs2 Na1 Sc1 Cl6'
_cell_length_a 7.541
_cell_length_b 7.541
_cell_length_c 7.541
_cell_angle_alpha 60.00
_cell_angle_beta 60.00
_cell_angle_gamma 60.00
_symmetry_space_group_name_H-M 'P 1'
_symmetry_Int_Tables_number 1
_symmetry_space_group_name_Hall 'P 1'
loop_
_atom_site_label
_atom_site_fract_x
_atom_site_fract_y
_atom_site_fract_z
Cl1 0.235 0.765 0.235
Cl2 0.235 0.765 0.765
Cl3 0.765 0.235 0.765
Cl4 0.765 0.235 0.235
Cl5 0.235 0.235 0.765
Cl6 0.765 0.765 0.235
Cs1 0.750 0.750 0.750
Cs2 0.250 0.250 0.250
Na1 0.500 0.500 0.500
Sc1 0.000 0.000 0.000
```

## Properties
As for the energy of formation from the pure elements: -2.435 eV per atom. Its total energy is -4.12 eV/atom.

---

Entry 4:
Entry from Materials Project: crystalline BaSrNdSbO6 at its relaxed geometry (PBE).

The structure in CIF format:
```
data_BaSrNdSbO6
_chemical_formula_sum 'Ba4 Sr4 Nd4 Sb4 O24'
_cell_length_a 8.588
_cell_length_b 8.581
_cell_length_c 8.586
_cell_angle_alpha 90.00
_cell_angle_beta 90.00
_cell_angle_gamma 90.00
_symmetry_space_group_name_H-M 'P 1'
_symmetry_Int_Tables_number 1
_symmetry_space_group_name_Hall 'P 1'
loop_
_atom_site_label
_atom_site_fract_x
_atom_site_fract_y
_atom_site_fract_z
Ba1 0.500 0.000 0.500
Ba2 0.500 0.500 0.500
Ba3 0.000 0.500 0.500
Ba4 0.000 0.000 0.000
O1 0.284 0.980 0.787
O2 0.789 0.718 0.017
O3 0.776 0.518 0.273
O4 0.276 0.773 0.520
O5 0.716 0.020 0.787
O6 0.724 0.773 0.480
O7 0.019 0.788 0.720
O8 0.789 0.282 0.983
O9 0.284 0.020 0.213
O10 0.776 0.482 0.727
O11 0.981 0.212 0.720
O12 0.224 0.482 0.273
O13 0.519 0.718 0.216
O14 0.019 0.212 0.280
O15 0.716 0.980 0.213
O16 0.981 0.788 0.280
O17 0.276 0.227 0.480
O18 0.224 0.518 0.727
O19 0.481 0.282 0.216
O20 0.519 0.282 0.784
O21 0.481 0.718 0.784
O22 0.724 0.227 0.520
O23 0.211 0.282 0.017
O24 0.211 0.718 0.983
Sr1 0.500 0.500 0.000
Sr2 0.000 0.000 0.500
Sr3 0.000 0.500 0.000
Sr4 0.500 0.000 0.000
Sb1 0.249 0.749 0.754
Sb2 0.751 0.749 0.246
Sb3 0.751 0.251 0.754
Sb4 0.249 0.251 0.246
Nd1 0.249 0.249 0.752
Nd2 0.751 0.249 0.248
Nd3 0.751 0.751 0.752
Nd4 0.249 0.751 0.248
```

## Properties
As for the energy of formation from the pure elements: -3.003 eV per atom. Its total energy is -6.81 eV/atom. The energy above the lowest structure with this stoichiometry comes out at 0.48 kJ/mol of atoms.

---

Entry 5:
Entry from Materials Project: crystalline SrSnO3 at its relaxed geometry (PBE).

The structure in CIF format:
```
data_SrSnO3
_chemical_formula_sum 'Sr2 Sn2 O6'
_cell_length_a 5.792
_cell_length_b 5.792
_cell_length_c 5.792
_cell_angle_alpha 120.00
_cell_angle_beta 119.48
_cell_angle_gamma 90.45
_symmetry_space_group_name_H-M 'P 1'
_symmetry_Int_Tables_number 1
_symmetry_space_group_name_Hall 'P 1'
loop_
_atom_site_label
_atom_site_fract_x
_atom_site_fract_y
_atom_site_fract_z
Sn1 0.000 0.500 0.500
Sn2 0.500 0.000 0.500
Sr1 0.260 0.250 0.010
Sr2 0.740 0.750 0.990
O1 0.705 0.705 0.500
O2 0.830 0.250 0.580
O3 0.295 0.795 0.000
O4 0.295 0.295 0.500
O5 0.705 0.205 0.000
O6 0.170 0.750 0.420
```

## Properties
As for the energy of formation from the pure elements: -2.632 eV per atom. Its total energy is -6.33 eV/atom.

---

Entry 6:
Entry from Materials Project: crystalline HfTlCdF7 at its relaxed geometry (PBE).

The structure in CIF format:
```
data_HfTlCdF7
_chemical_formula_sum 'Hf2 Tl2 Cd2 F14'
_cell_length_a 6.617
_cell_length_b 6.617
_cell_length_c 8.614
_cell_angle_alpha 90.00
_cell_angle_beta 90.00
_cell_angle_gamma 117.20
_symmetry_space_group_name_H-M 'P 1'
_symmetry_Int_Tables_number 1
_symmetry_space_group_name_Hall 'P 1'
loop_
_atom_site_label
_atom_site_fract_x
_atom_site_fract_y
_atom_site_fract_z
Hf1 0.693 0.307 0.750
Hf2 0.307 0.693 0.250
Cd1 0.691 0.309 0.250
Cd2 0.309 0.691 0.750
F1 0.022 0.330 0.750
F2 0.350 0.065 0.750
F3 0.488 0.512 0.250
F4 0.935 0.650 0.750
F5 0.512 0.488 0.750
F6 0.703 0.297 0.983
F7 0.330 0.022 0.250
F8 0.065 0.350 0.250
F9 0.670 0.978 0.750
F10 0.650 0.935 0.250
F11 0.297 0.703 0.017
F12 0.703 0.297 0.517
F13 0.978 0.670 0.250
F14 0.297 0.703 0.483
Tl1 0.000 0.000 0.500
Tl2 0.000 0.000 0.000
```

## Properties
As for the energy of formation from the pure elements: -3.280 eV per atom. Its total energy is -5.62 eV/atom.